Record 1
Below is a relaxed structure of CoP2H36C12Br2N6O2, with properties calculated at the PBE with a Hubbard U level.

As for the space-group type: C2/c, No. 15. The energy of formation from the pure elements is -0.293 eV per atom. The total energy is -657.7 eV for the cell shown.

Unit cell a=13.2066 b=13.2066 c=16.6694 alpha=125.71 beta=125.71 gamma=38.24
Fractional positions:
Co 0.1754 0.8246 0.7500
Co 0.8246 0.1754 0.2500
P 0.0410 0.1591 0.9539
P 0.1591 0.0410 0.4539
P 0.8409 0.9590 0.5461
P 0.9590 0.8409 0.0461
H 0.0001 0.3574 0.1512
H 0.9999 0.6426 0.8488
H 0.0045 0.5678 0.4003
H 0.0076 0.1965 0.7674
H 0.0807 0.5984 0.3638
H 0.0850 0.8826 0.4336
H 0.1173 0.5814 0.1737
H 0.1174 0.9150 0.0664
H 0.1247 0.2748 0.4171
H 0.1290 0.6215 0.4952
H 0.1375 0.3495 0.9526
H 0.1778 0.6817 0.2008
H 0.1854 0.2006 0.2203
H 0.1947 0.3007 0.1885
H 0.1965 0.0076 0.2674
H 0.2006 0.1854 0.7203
H 0.2089 0.7419 0.9615
H 0.2356 0.4817 0.0154
H 0.2394 0.2436 0.0423
H 0.2436 0.2394 0.5423
H 0.2581 0.7911 0.5385
H 0.2748 0.1247 0.9171
H 0.2773 0.6684 0.4105
H 0.2781 0.4783 0.9290
H 0.3007 0.1947 0.6885
H 0.3183 0.8222 0.2992
H 0.3316 0.7227 0.0895
H 0.3495 0.1375 0.4526
H 0.3574 0.0001 0.6512
H 0.3785 0.8710 0.0048
H 0.3978 0.4774 0.0587
H 0.4016 0.9193 0.1362
H 0.4186 0.8827 0.3263
H 0.4322 0.9955 0.0997
H 0.4774 0.3978 0.5587
H 0.4783 0.2781 0.4290
H 0.4817 0.2356 0.5154
H 0.5183 0.7644 0.4846
H 0.5217 0.7219 0.5710
H 0.5226 0.6022 0.4413
H 0.5678 0.0045 0.9003
H 0.5814 0.1173 0.6737
H 0.5984 0.0807 0.8638
H 0.6022 0.5226 0.9413
H 0.6215 0.1290 0.9952
H 0.6426 0.9999 0.3488
H 0.6505 0.8625 0.5474
H 0.6684 0.2773 0.9105
H 0.6817 0.1778 0.7008
H 0.6993 0.8053 0.3115
H 0.7219 0.5217 0.0710
H 0.7227 0.3316 0.5895
H 0.7252 0.8753 0.0829
H 0.7419 0.2089 0.4615
H 0.7564 0.7606 0.4577
H 0.7606 0.7564 0.9577
H 0.7644 0.5183 0.9846
H 0.7911 0.2581 0.0385
H 0.7994 0.8146 0.2797
H 0.8035 0.9924 0.7326
H 0.8053 0.6993 0.8115
H 0.8146 0.7994 0.7797
H 0.8222 0.3183 0.7992
H 0.8625 0.6505 0.0474
H 0.8710 0.3785 0.5048
H 0.8753 0.7252 0.5829
H 0.8826 0.0850 0.9336
H 0.8827 0.4186 0.8263
H 0.9150 0.1174 0.5664
H 0.9193 0.4016 0.6362
H 0.9924 0.8035 0.2326
H 0.9955 0.4322 0.5997
C 0.0316 0.6431 0.4232
C 0.0690 0.6986 0.1761
C 0.1369 0.2520 0.1609
C 0.1797 0.2435 0.9614
C 0.2042 0.7772 0.0385
C 0.2228 0.7958 0.4615
C 0.2435 0.1797 0.4614
C 0.2520 0.1369 0.6609
C 0.2712 0.5274 0.0082
C 0.3014 0.9310 0.3239
C 0.3569 0.9684 0.0768
C 0.4726 0.7288 0.4918
C 0.5274 0.2712 0.5082
C 0.6431 0.0316 0.9232
C 0.6986 0.0690 0.6761
C 0.7288 0.4726 0.9918
C 0.7480 0.8631 0.3391
C 0.7565 0.8203 0.5386
C 0.7772 0.2042 0.5385
C 0.7958 0.2228 0.9615
C 0.8203 0.7565 0.0386
C 0.8631 0.7480 0.8391
C 0.9310 0.3014 0.8239
C 0.9684 0.3569 0.5768
Br 0.2383 0.5843 0.7311
Br 0.4157 0.7617 0.7689
Br 0.5843 0.2383 0.2311
Br 0.7617 0.4157 0.2689
N 0.0313 0.2689 0.9257
N 0.1197 0.1772 0.5664
N 0.1521 0.7117 0.0382
N 0.1772 0.1197 0.0664
N 0.2689 0.0313 0.4257
N 0.2883 0.8479 0.4618
N 0.7117 0.1521 0.5382
N 0.7311 0.9687 0.5743
N 0.8228 0.8803 0.9336
N 0.8479 0.2883 0.9618
N 0.8803 0.8228 0.4336
N 0.9687 0.7311 0.0743
O 0.0069 0.9066 0.6223
O 0.0934 0.9931 0.8777
O 0.9066 0.0069 0.1223
O 0.9931 0.0934 0.3777

=====

Record 2
Below is a relaxed structure of Co3SnC12BrO12, with properties calculated at the PBE with a Hubbard U level.

As for the space-group type: P6_3, No. 173. The energy of formation from the pure elements is -0.817 eV per atom. The total energy is -415.2 eV for the cell shown.

Unit cell a=10.4992 b=10.4992 c=12.2861 alpha=90.00 beta=90.00 gamma=120.00
Fractional positions:
Co 0.1131 0.4032 0.0000
Co 0.2901 0.8869 0.0000
Co 0.4032 0.2901 0.5000
Co 0.5968 0.7099 0.0000
Co 0.7099 0.1131 0.5000
Co 0.8869 0.5968 0.5000
Sn 0.3333 0.6667 0.0548
Sn 0.6667 0.3333 0.5548
C 0.0076 0.5282 0.5292
C 0.0263 0.7727 0.4592
C 0.1684 0.3364 0.1127
C 0.1680 0.8316 0.1127
C 0.2083 0.4398 0.8744
C 0.2273 0.2536 0.4592
C 0.2315 0.7917 0.8744
C 0.2536 0.0263 0.9592
C 0.3364 0.1680 0.6127
C 0.4398 0.2315 0.3744
C 0.4718 0.4793 0.5292
C 0.4793 0.0076 0.0292
C 0.5207 0.9924 0.5292
C 0.5282 0.5207 0.0292
C 0.5602 0.7685 0.8744
C 0.6636 0.8320 0.1127
C 0.7464 0.9737 0.4592
C 0.7685 0.2083 0.3744
C 0.7727 0.7464 0.9592
C 0.7917 0.5602 0.3744
C 0.8320 0.1684 0.6127
C 0.8316 0.6636 0.6127
C 0.9737 0.2273 0.9592
C 0.9924 0.4718 0.0292
Br 0.3333 0.6667 0.2643
Br 0.6667 0.3333 0.7643
O 0.0861 0.8068 0.1836
O 0.0956 0.4953 0.5469
O 0.1107 0.2265 0.4330
O 0.1158 0.8893 0.4330
O 0.1883 0.7358 0.7905
O 0.1932 0.2794 0.1836
O 0.2265 0.1158 0.9330
O 0.2642 0.4525 0.7905
O 0.2794 0.0861 0.6836
O 0.3997 0.9044 0.5469
O 0.4525 0.1883 0.2905
O 0.4953 0.3997 0.0469
O 0.5047 0.6003 0.5469
O 0.5475 0.8117 0.7905
O 0.6003 0.0956 0.0469
O 0.7206 0.9139 0.1836
O 0.7358 0.5475 0.2905
O 0.7735 0.8842 0.4330
O 0.8068 0.7206 0.6836
O 0.8117 0.2642 0.2905
O 0.8842 0.1107 0.9330
O 0.8893 0.7735 0.9330
O 0.9044 0.5047 0.0469
O 0.9139 0.1932 0.6836

=====

Record 3
Below is a relaxed structure of CrPC5Br3O5, with properties calculated at the PBE with a Hubbard U level.

As for the space-group type: P-1, No. 2. The energy of formation from the pure elements is -0.713 eV per atom. The total energy is -192.2 eV for the cell shown.

Unit cell a=6.7938 b=6.9141 c=13.8291 alpha=88.02 beta=87.18 gamma=87.78
Fractional positions:
Cr 0.2211 0.2800 0.1727
Cr 0.7789 0.7200 0.8273
P 0.3231 0.3155 0.3282
P 0.6769 0.6845 0.6718
C 0.0211 0.5801 0.7939
C 0.1052 0.0415 0.2169
C 0.1231 0.2497 0.0477
C 0.3385 0.5168 0.1277
C 0.4648 0.1469 0.1340
C 0.5352 0.8531 0.8660
C 0.6615 0.4832 0.8723
C 0.8769 0.7503 0.9523
C 0.8948 0.9585 0.7831
C 0.9789 0.4199 0.2061
Br 0.1078 0.2372 0.4513
Br 0.4026 0.6098 0.3722
Br 0.4138 0.8658 0.6258
Br 0.5862 0.1342 0.3742
Br 0.5974 0.3902 0.6278
Br 0.8922 0.7628 0.5487
O 0.0327 0.8992 0.2438
O 0.0585 0.2349 0.9725
O 0.1699 0.4976 0.7770
O 0.3862 0.9276 0.8908
O 0.4099 0.6581 0.0983
O 0.5901 0.3419 0.9017
O 0.6138 0.0724 0.1092
O 0.8301 0.5024 0.2230
O 0.9415 0.7651 0.0275
O 0.9673 0.1008 0.7562